CePd7, optimized geometry, DFT r2SCAN; energy = -24.43 eV per atom
1.0
-3.2769 2.1369 -4.1184
0.4371 -1.9952 -5.3003
-4.1904 -3.1345 -2.2094
Pd Ce
7 1
Cartesian
0.2186 -0.9976 -2.6502
-1.8766 -2.5648 -3.7549
-1.6385 1.0684 -2.0592
-3.5151 -1.4964 -5.8140
-3.7336 -0.4988 -3.1639
-1.4199 0.0708 -4.7093
-2.0952 -1.5672 -1.1047
0.0000 0.0000 0.0000



NdAl2Ge2, optimized geometry, DFT r2SCAN; energy = -14.64 eV per atom
1.0
-4.0617 -1.1704 -0.4823
2.1792 -1.2457 3.4351
-2.0373 5.6879 3.3550
Ge Al Nd
2 2 1
Cartesian
-3.4712 2.9639 3.2769
-0.4487 0.3080 3.0309
-2.7158 0.8548 2.0328
-1.2041 2.4171 4.2750
0.0000 0.0000 0.0000



NaB4Ir3, optimized geometry, DFT r2SCAN; energy = -24.06 eV per atom
1.0
5.7087 4.9712 0.0000
-5.7087 4.9712 0.0000
0.0000 0.0000 8.2924
Ir B Na
12 16 4
Cartesian
2.8791 4.9724 5.5139
2.8803 4.9712 0.0000
-1.5773 2.4856 2.5931
1.6296 7.4568 5.6989
2.8791 4.9700 2.7785
-2.8284 4.9712 0.0000
-5.6797 4.9712 0.0000
0.0290 4.9712 0.0000
-1.5773 7.4568 5.6992
-2.8296 4.9700 5.5139
-2.8296 4.9724 2.7785
1.6296 2.4856 2.5934
0.0260 1.5259 1.5699
2.8842 6.5651 4.1473
0.0260 8.4165 6.7224
-4.1457 4.1912 6.9388
1.5630 4.1912 1.3536
0.0260 6.4971 6.7224
-1.5162 5.7544 6.9380
-4.1457 5.7512 1.3536
0.0260 3.4453 1.5699
4.1925 5.7544 1.3543
2.8842 3.3773 4.1451
-2.8245 6.5651 4.1451
-1.5162 4.1880 1.3543
-2.8245 3.3773 4.1473
1.5630 5.7512 6.9388
4.1925 4.1880 6.9380
-1.2790 7.4568 1.2527
-1.2790 2.4856 7.0396
0.0377 4.9712 4.1462
-5.6710 4.9712 4.1462



BaPd, optimized geometry, DFT r2SCAN; energy = -25.24 eV per atom
1.0
-4.4865 0.0007 0.0000
0.0000 0.0000 -4.6800
-2.2424 -5.9458 0.0000
Ba Pd
2 2
Cartesian
-2.2419 -4.2988 -3.5100
-4.4869 -1.6463 -1.1700
-2.2430 -0.7986 -3.5100
-4.4858 -5.1466 -1.1700



NdTlSe2, optimized geometry, DFT r2SCAN; energy = -29.40 eV per atom
1.0
7.8109 -2.1575 -0.0058
7.8109 2.1575 -0.0058
7.2177 0.0000 3.6837
Tl Se Nd
1 2 1
Cartesian
11.4197 0.0000 1.8360
6.0042 0.0000 0.9653
16.8352 0.0000 2.7067
0.0000 0.0000 0.0000



Ba5SrNd2Fe4O15, optimized geometry, DFT r2SCAN; energy = -15.76 eV per atom
1.0
10.1780 5.9079 0.0129
-10.1780 5.9079 0.0129
0.0000 0.0239 7.0333
Nd Ba Fe Sr O
4 10 8 2 30
Cartesian
0.4640 5.9109 1.1906
4.8531 8.4656 1.2149
-0.4640 5.9229 4.7073
-4.8531 8.4776 4.7315
6.6477 5.9293 5.9064
10.1517 5.9315 3.4762
-10.1517 5.9435 6.9928
1.7813 3.0889 5.9079
-6.6477 5.9174 2.3897
-1.7821 8.7776 2.3460
1.7821 8.7896 5.8627
-3.4152 5.9197 0.1200
-1.7813 3.0769 2.3913
3.4152 5.9317 3.6367
1.7914 8.6440 2.3722
3.3932 5.9204 6.8381
-1.7914 8.6559 5.8889
6.5288 5.8902 2.3879
-3.3932 5.9084 3.3215
1.8223 3.1935 2.4234
-6.5288 5.9022 5.9046
-1.8223 3.2055 5.9401
4.8403 3.3661 1.1971
-4.8403 3.3780 4.7138
4.2252 7.3972 5.9347
-6.1758 4.3889 6.9605
-4.2143 4.4689 2.3218
-0.9080 10.0847 5.1525
0.6590 7.4770 3.3246
-4.2252 7.3852 2.4180
4.2143 4.4808 5.8384
-6.1818 7.5006 6.7878
-0.6590 7.4889 6.8413
-2.4883 7.4137 4.6349
8.1775 5.8070 1.5690
5.0638 5.9679 1.1704
-1.0089 1.7596 5.1436
6.1818 7.4887 3.2711
-8.1775 5.8189 5.0857
6.1758 4.3769 3.4438
0.6405 4.3282 3.3500
3.3722 9.0649 3.2475
1.6677 5.9241 5.8812
2.4883 7.4017 1.1183
1.0089 1.7477 1.6270
-1.6677 5.9122 2.3645
-3.3722 9.0768 6.7642
0.9080 10.0728 1.6358
-5.0638 5.9799 4.6871
2.4638 4.4696 1.1696
-2.4638 4.4816 4.6863
-3.3256 2.7576 6.9584
-0.6405 4.3401 6.8666
3.3256 2.7457 3.4418



Sc2CoSi2, optimized geometry, DFT r2SCAN; energy = -11.52 eV per atom
1.0
-3.2324 1.9414 -1.1513
-1.7478 -1.7014 -4.7118
-6.3451 -4.8480 2.8896
Si Sc Co
4 4 2
Cartesian
-7.6352 -2.3295 -2.7418
-3.6901 -2.2785 -0.2317
-9.0033 -2.5719 0.6907
-2.3220 -2.0361 -3.6642
-6.4478 -2.8356 -0.1786
-9.1741 -4.2622 -1.6800
-2.1512 -0.3458 -1.2935
-4.8775 -1.7724 -2.7948
-5.0220 -0.4506 -0.1600
-6.3033 -4.1574 -2.8134



Li2MgSi, optimized geometry, DFT r2SCAN; energy = -4.71 eV per atom
1.0
-3.1589 3.9888 3.7761
3.3555 -2.0472 4.9696
4.3485 4.4773 -1.0918
Mg Si Li
4 4 8
Cartesian
1.6778 -1.0236 2.4848
-1.5794 1.9944 1.8880
2.1743 2.2386 -0.5459
0.0000 0.0000 0.0000
1.1510 1.6255 1.9382
4.9532 2.8248 3.8521
1.7381 5.8038 3.2630
1.2481 2.5837 6.2545
3.8520 1.2150 1.9389
2.2726 3.2094 3.8270
-0.1860 3.5622 3.8039
0.0983 0.9708 4.3728
0.5948 4.2330 1.3422
2.7628 0.8300 4.3442
3.2123 3.7833 1.6005
3.3013 4.6622 5.5593



K2MnF4, optimized geometry, DFT r2SCAN; energy = -8.59 eV per atom
1.0
3.9779 0.0000 -1.1985
-0.3611 3.9615 -1.1985
0.0078 0.0085 7.2266
F Mn K
4 1 2
Cartesian
1.9890 0.0000 -0.5992
0.5803 0.6356 1.9262
3.0443 3.3344 2.9035
-0.1805 1.9807 -0.5992
0.0000 0.0000 0.0000
2.3366 2.5592 0.5545
1.2880 1.4108 4.2752



Gd3Sb5O12, optimized geometry, DFT r2SCAN; energy = -18.92 eV per atom
1.0
-5.4300 5.4300 5.4300
5.4300 -5.4300 5.4300
5.4300 5.4300 -5.4300
O Gd Sb
24 6 10
Cartesian
-1.0818 4.2727 1.0819
1.0819 1.0819 6.5873
-1.1573 6.5118 4.3482
7.2043 1.5022 -1.5021
4.3482 1.1573 4.3482
3.6557 1.5022 1.5022
1.0819 -1.0818 4.2727
4.3482 6.5118 -1.1573
1.5022 7.2043 -1.5021
1.1573 4.3482 4.3482
-1.5021 1.5022 7.2043
1.0819 6.5873 1.0819
3.9279 -1.7743 3.9279
1.0818 4.2727 -1.0818
4.3482 4.3482 1.1574
-1.5021 7.2043 1.5022
3.9279 3.9279 -1.7743
1.5022 3.6557 1.5021
6.5873 1.0819 1.0819
1.5022 -1.5021 7.2043
-1.7743 3.9278 3.9279
-1.1573 4.3482 6.5118
1.5021 1.5022 3.6557
7.2043 -1.5021 1.5022
5.4300 2.7150 0.0000
5.4300 0.0000 2.7150
2.7150 0.0000 5.4300
0.0000 5.4300 2.7150
2.7150 5.4300 0.0000
0.0000 2.7150 5.4300
-2.7837 8.0763 2.7837
5.4300 2.3886 5.4300
0.0000 0.0000 3.0414
-2.3886 5.4300 5.4300
0.0000 0.0000 7.8186
2.7838 8.0762 -2.7837
2.3886 5.4300 5.4300
2.6463 8.2137 2.6463
0.0000 3.0414 0.0000
2.7838 2.7838 2.7838



LuGaNi, optimized geometry, DFT r2SCAN; energy = -21.21 eV per atom
1.0
0.0000 -4.2009 0.0000
-6.6412 0.0000 0.0000
0.0000 0.0000 -7.1818
Ni Lu Ga
4 4 4
Cartesian
-1.4062 -3.1506 -2.9024
-5.2350 -1.0502 -4.2794
-1.9144 -1.0502 -6.4933
-4.7268 -3.1506 -0.6885
-3.4263 -1.0502 -2.1785
-6.5355 -3.1506 -5.7694
-3.2149 -3.1506 -5.0033
-0.1057 -1.0502 -1.4124
-5.4598 -3.1506 -3.0343
-1.1814 -1.0502 -4.1474
-2.1392 -3.1506 -0.5565
-4.5020 -1.0502 -6.6252



CdIn2Te4, optimized geometry, DFT r2SCAN; energy = -24.36 eV per atom
1.0
5.8066 0.0001 -2.5984
-1.1628 5.6891 -2.5983
-0.0197 -0.0242 7.7433
Te Cd In
4 1 2
Cartesian
3.4946 0.7612 3.6383
3.9554 5.1361 -2.4834
1.9420 2.0887 0.0880
-0.1436 3.3439 3.8504
0.0000 0.0000 0.0000
2.3219 2.8446 -2.5983
0.5697 4.2547 1.2734



Cd3Bi, optimized geometry, DFT r2SCAN; energy = -29.60 eV per atom
1.0
-2.3128 2.3128 4.6794
2.3128 -2.3128 4.6794
2.3128 2.3128 -4.6794
Bi Cd
1 3
Cartesian
0.0000 0.0000 0.0000
2.3128 0.0000 2.3397
0.0000 2.3128 2.3397
0.0000 0.0000 4.6794



ScSiPt2, optimized geometry, DFT r2SCAN; energy = -32.01 eV per atom
1.0
3.7213 0.0000 0.0000
-1.8606 4.9117 0.0000
0.0000 0.0000 6.9675
Pt Si Sc
4 2 2
Cartesian
1.8607 1.3673 3.1491
0.0000 3.5444 3.8184
1.8607 1.3673 0.3346
0.0000 3.5444 6.6329
0.0000 2.2820 1.7419
1.8607 2.6297 5.2256
0.0000 0.4891 5.2256
1.8606 4.4226 1.7419



Al2O3, optimized geometry, DFT r2SCAN; energy = -9.54 eV per atom
1.0
5.2843 0.0000 -0.5484
0.0000 12.0167 0.0000
-0.7340 0.0000 3.0704
Al O
8 12
Cartesian
2.9525 11.2141 2.2661
3.8730 5.2058 1.5171
4.1392 1.9921 0.8346
1.5978 0.8026 0.2560
1.1301 4.0162 2.6440
0.4111 10.0245 1.6875
3.4203 8.0004 -0.1219
0.6774 6.8109 1.0050
-0.2705 8.3450 1.2536
2.5456 2.3366 0.0074
4.1792 6.1037 -0.0242
3.3802 0.0954 0.7369
2.3163 7.5254 1.2200
0.3711 5.9130 2.5463
2.0047 9.6800 2.5147
1.1701 11.9213 1.7852
5.2432 1.5171 -0.5073
4.8208 3.6717 1.2685
-0.6929 10.4996 3.0294
2.2341 4.4912 1.3021



AcHgRh2, optimized geometry, DFT r2SCAN; energy = -41.89 eV per atom
1.0
0.0000 3.4532 3.4532
3.4532 0.0000 3.4532
3.4532 3.4532 0.0000
Hg Ac Rh
1 1 2
Cartesian
0.0000 0.0000 0.0000
3.4532 3.4532 3.4532
1.7266 1.7266 1.7266
5.1797 5.1797 5.1797



PmGePd2, optimized geometry, DFT r2SCAN; energy = -23.00 eV per atom
1.0
4.6426 0.3424 0.8598
1.5240 1.2589 4.3014
2.1333 -3.1824 2.7805
Pm Pd Ge
1 2 1
Cartesian
0.0000 0.0000 0.0000
2.0750 -0.3953 1.9854
6.2249 -1.1858 5.9563
4.1499 -0.7906 3.9709



Tb5CuPb3, optimized geometry, DFT r2SCAN; energy = -37.96 eV per atom
1.0
4.5873 -7.9455 0.0000
4.5873 7.9455 0.0000
0.0000 0.0000 6.7097
Tb Pb Cu
10 6 2
Cartesian
1.1560 2.0022 1.6774
4.5873 -2.6485 3.3549
6.8628 0.0000 1.6774
4.5873 -2.6485 0.0000
1.1560 -2.0022 1.6774
2.3119 0.0000 5.0323
3.4314 -5.9433 5.0323
4.5873 2.6485 3.3549
3.4314 5.9433 5.0323
4.5873 2.6485 0.0000
1.7848 3.0913 5.0323
2.8026 4.8542 1.6774
1.7848 -3.0913 5.0323
2.8026 -4.8542 1.6774
5.6051 0.0000 5.0323
3.5696 0.0000 1.6774
0.0000 0.0000 0.0000
0.0000 0.0000 3.3549



CsO2, optimized geometry, DFT r2SCAN; energy = -13.28 eV per atom; distance to the lowest polymorph of the same formula = 31.9 meV/atom
1.0
3.1295 1.4713 -2.1152
-3.3568 1.8158 -1.3666
0.4680 2.9095 2.7162
O Cs
2 1
Cartesian
-2.4542 3.2350 -0.0857
2.6949 2.9616 -0.6799
-0.1136 1.6436 -1.7409



| no. | energy relative to the elements (meV per atom) |
| --- | --- |
| 1 | -485 |
| 2 | -520 |
| 3 | -308 |
| 4 | -511 |
| 5 | -1599 |
| 6 | -2664 |
| 7 | -809 |
| 8 | -282 |
| 9 | -2985 |
| 10 | -2403 |
| 11 | -704 |
| 12 | -508 |
| 13 | 104 |
| 14 | -1221 |
| 15 | -3261 |
| 16 | -322 |
| 17 | -670 |
| 18 | -647 |
| 19 | -926 |